Entry from the Materials Project: crystalline ZnCuMo at its relaxed geometry (GGA-PBE).

Structure (POSCAR):
```
ZnCuMo
1.0
3.410 2.078 1.214
-0.363 3.796 1.696
0.771 0.552 4.065
Zn Mo Cu
1 1 1
Direct
0.000 0.000 0.000
0.750 0.750 0.750
0.500 0.500 0.500
```

Theoretical density = 7.26 g cm⁻³
Formation energy from the elements = 967 meV per atom